[1]
{
  "formula": "YVW2O8",
  "functional": "PBE with a Hubbard U",
  "state": "relaxed",
  "lattice_angstrom": [[-1.321, -3.625, -3.657], [4.491, 1.642, -3.250], [5.769, -6.243, 4.817]],
  "species": ["Y", "Y", "V", "V", "W", "W", "W", "W", "O", "O", "O", "O", "O", "O", "O", "O", "O", "O", "O", "O", "O", "O", "O", "O"],
  "fractional_positions": [[0.250, 0.665, 0.250], [0.750, 0.335, 0.750], [0.250, 0.665, 0.750], [0.750, 0.335, 0.250], [0.253, 0.158, 0.497], [0.247, 0.158, 0.003], [0.747, 0.842, 0.503], [0.753, 0.842, 0.997], [0.427, 0.358, 0.141], [0.073, 0.358, 0.359], [0.573, 0.642, 0.859], [0.927, 0.642, 0.641], [0.437, 0.895, 0.614], [0.063, 0.896, 0.886], [0.563, 0.104, 0.386], [0.937, 0.105, 0.114], [0.876, 0.614, 0.124], [0.625, 0.614, 0.376], [0.125, 0.386, 0.876], [0.375, 0.386, 0.624], [0.421, 0.885, 0.097], [0.579, 0.115, 0.903], [0.079, 0.885, 0.403], [0.921, 0.115, 0.597]],
  "de_polymorph_kj_per_mol_atoms": 0.00,
  "m_tot_mub_per_cell": 8.00
}

---

[2]
{
  "formula": "YVW2O8",
  "functional": "PBE with a Hubbard U",
  "state": "relaxed",
  "lattice_angstrom": [[5.155, 0.000, 0.000], [-1.797, 5.461, 0.000], [-0.153, -1.874, 5.667]],
  "species": ["Y", "V", "W", "W", "O", "O", "O", "O", "O", "O", "O", "O"],
  "fractional_positions": [[0.475, 0.098, 0.705], [0.972, 0.099, 0.230], [0.717, 0.587, 0.389], [0.225, 0.617, 0.062], [0.701, 0.822, 0.668], [0.744, 0.293, 0.483], [0.614, 0.786, 0.176], [0.842, 0.385, 0.064], [0.197, 0.882, 0.956], [0.264, 0.390, 0.792], [0.323, 0.405, 0.267], [0.127, 0.832, 0.388]],
  "de_polymorph_kj_per_mol_atoms": 9.70,
  "m_tot_mub_per_cell": 4.00
}

---

[3]
{
  "formula": "Y2VO5",
  "functional": "PBE with a Hubbard U",
  "state": "relaxed",
  "lattice_angstrom": [[3.445, 7.695, 0.000], [-3.445, 7.695, 0.000], [0.000, 5.679, 8.916]],
  "species": ["Y", "Y", "Y", "Y", "Y", "Y", "Y", "Y", "V", "V", "V", "V", "O", "O", "O", "O", "O", "O", "O", "O", "O", "O", "O", "O", "O", "O", "O", "O", "O", "O", "O", "O"],
  "fractional_positions": [[0.761, 0.508, 0.163], [0.492, 0.239, 0.337], [0.239, 0.492, 0.837], [0.508, 0.761, 0.663], [0.776, 0.289, 0.537], [0.711, 0.224, 0.963], [0.224, 0.711, 0.463], [0.289, 0.776, 0.037], [0.906, 0.715, 0.316], [0.285, 0.094, 0.184], [0.094, 0.285, 0.684], [0.715, 0.906, 0.816], [0.839, 0.547, 0.322], [0.453, 0.161, 0.178], [0.161, 0.453, 0.678], [0.547, 0.839, 0.822], [0.875, 0.722, 0.952], [0.278, 0.125, 0.548], [0.125, 0.278, 0.048], [0.722, 0.875, 0.452], [0.411, 0.817, 0.173], [0.183, 0.589, 0.327], [0.589, 0.183, 0.827], [0.817, 0.411, 0.673], [0.095, 0.078, 0.368], [0.922, 0.905, 0.132], [0.905, 0.922, 0.632], [0.078, 0.095, 0.868], [0.583, 0.384, 0.397], [0.616, 0.417, 0.103], [0.417, 0.616, 0.603], [0.384, 0.583, 0.897]],
  "m_tot_mub_per_cell": 4.00
}

---

[4]
{
  "formula": "Y2V2O7",
  "functional": "PBE with a Hubbard U",
  "state": "relaxed",
  "lattice_angstrom": [[6.209, 0.000, 3.585], [2.070, 5.853, 3.585], [0.000, 0.000, 7.169]],
  "species": ["Y", "Y", "Y", "Y", "V", "V", "V", "V", "O", "O", "O", "O", "O", "O", "O", "O", "O", "O", "O", "O", "O", "O"],
  "fractional_positions": [[0.500, 0.000, 0.000], [0.000, 0.000, 0.000], [0.000, 0.000, 0.500], [0.000, 0.500, 0.000], [0.500, 0.500, 0.500], [0.500, 0.500, 0.000], [0.000, 0.500, 0.500], [0.500, 0.000, 0.500], [0.581, 0.169, 0.581], [0.169, 0.169, 0.581], [0.581, 0.169, 0.169], [0.169, 0.581, 0.169], [0.419, 0.831, 0.831], [0.831, 0.831, 0.419], [0.831, 0.419, 0.419], [0.125, 0.125, 0.125], [0.419, 0.419, 0.831], [0.581, 0.581, 0.169], [0.169, 0.581, 0.581], [0.875, 0.875, 0.875], [0.419, 0.831, 0.419], [0.831, 0.419, 0.831]],
  "de_polymorph_kj_per_mol_atoms": 0.00
}

---

[5]
{
  "formula": "YV3O6",
  "functional": "PBE with a Hubbard U",
  "state": "relaxed",
  "lattice_angstrom": [[3.148, -5.452, 0.000], [3.148, 5.452, 0.000], [0.000, 0.000, 15.143]],
  "species": ["Y", "Y", "Y", "Y", "V", "V", "V", "V", "V", "V", "V", "V", "V", "V", "V", "V", "O", "O", "O", "O", "O", "O", "O", "O", "O", "O", "O", "O", "O", "O", "O", "O", "O", "O", "O", "O", "O", "O", "O", "O"],
  "fractional_positions": [[0.333, 0.667, 0.055], [0.000, 0.000, 0.370], [0.667, 0.333, 0.945], [0.000, 0.000, 0.630], [0.170, 0.340, 0.832], [0.830, 0.660, 0.168], [0.500, 0.000, 0.500], [0.170, 0.830, 0.832], [0.830, 0.170, 0.168], [0.500, 0.500, 0.500], [0.000, 0.000, 0.000], [0.667, 0.333, 0.327], [0.333, 0.667, 0.673], [0.660, 0.830, 0.832], [0.340, 0.170, 0.168], [0.000, 0.500, 0.500], [0.333, 0.667, 0.913], [0.000, 0.000, 0.232], [0.667, 0.333, 0.559], [0.284, 0.142, 0.913], [0.952, 0.476, 0.237], [0.626, 0.813, 0.582], [0.858, 0.716, 0.913], [0.524, 0.048, 0.237], [0.187, 0.374, 0.582], [0.858, 0.142, 0.913], [0.524, 0.476, 0.237], [0.187, 0.813, 0.582], [0.716, 0.858, 0.087], [0.374, 0.187, 0.418], [0.048, 0.524, 0.763], [0.667, 0.333, 0.087], [0.333, 0.667, 0.441], [0.000, 0.000, 0.768], [0.142, 0.284, 0.087], [0.813, 0.626, 0.418], [0.476, 0.952, 0.763], [0.142, 0.858, 0.087], [0.813, 0.187, 0.418], [0.476, 0.524, 0.763]],
  "m_tot_mub_per_cell": 24.00
}

---

[6]
{
  "formula": "Y2V2O7",
  "functional": "PBE with a Hubbard U",
  "state": "relaxed",
  "lattice_angstrom": [[4.770, 3.360, 0.000], [-4.770, 3.360, 0.000], [0.000, 0.972, 5.152]],
  "species": ["Y", "Y", "V", "V", "O", "O", "O", "O", "O", "O", "O"],
  "fractional_positions": [[0.688, 0.312, 0.500], [0.312, 0.688, 0.500], [0.757, 0.757, 0.901], [0.243, 0.243, 0.099], [0.932, 0.610, 0.707], [0.610, 0.932, 0.707], [0.581, 0.581, 0.221], [0.419, 0.419, 0.779], [0.000, 0.000, 0.000], [0.390, 0.068, 0.293], [0.068, 0.390, 0.293]],
  "de_polymorph_kj_per_mol_atoms": 6.80,
  "m_tot_mub_per_cell": 2.00
}

---

[7]
{
  "formula": "Y2V3O9",
  "functional": "PBE with a Hubbard U",
  "state": "relaxed",
  "lattice_angstrom": [[5.285, 0.000, 0.000], [0.000, 7.633, 0.000], [0.000, 0.000, 16.372]],
  "species": ["Y", "Y", "Y", "Y", "Y", "Y", "Y", "Y", "V", "V", "V", "V", "V", "V", "V", "V", "V", "V", "V", "V", "O", "O", "O", "O", "O", "O", "O", "O", "O", "O", "O", "O", "O", "O", "O", "O", "O", "O", "O", "O", "O", "O", "O", "O", "O", "O", "O", "O", "O", "O", "O", "O", "O", "O", "O", "O"],
  "fractional_positions": [[0.517, 0.002, 0.062], [0.509, 0.001, 0.734], [0.009, 0.499, 0.266], [0.017, 0.498, 0.938], [0.483, 0.502, 0.438], [0.491, 0.501, 0.766], [0.983, 0.998, 0.562], [0.991, 0.999, 0.234], [0.005, 0.247, 0.417], [0.014, 0.260, 0.085], [0.003, 0.248, 0.749], [0.505, 0.253, 0.583], [0.503, 0.252, 0.251], [0.514, 0.240, 0.915], [0.986, 0.760, 0.415], [0.995, 0.747, 0.083], [0.997, 0.748, 0.751], [0.486, 0.740, 0.585], [0.497, 0.752, 0.249], [0.495, 0.753, 0.917], [0.211, 0.292, 0.506], [0.191, 0.281, 0.189], [0.216, 0.314, 0.848], [0.711, 0.208, 0.494], [0.716, 0.186, 0.152], [0.691, 0.219, 0.811], [0.810, 0.219, 0.313], [0.769, 0.222, 0.988], [0.793, 0.185, 0.654], [0.293, 0.315, 0.346], [0.269, 0.278, 0.012], [0.310, 0.281, 0.687], [0.809, 0.781, 0.311], [0.789, 0.792, 0.994], [0.784, 0.814, 0.652], [0.284, 0.686, 0.348], [0.289, 0.708, 0.006], [0.309, 0.719, 0.689], [0.231, 0.722, 0.512], [0.190, 0.719, 0.187], [0.207, 0.685, 0.846], [0.731, 0.778, 0.488], [0.707, 0.815, 0.154], [0.690, 0.781, 0.813], [0.062, 0.001, 0.419], [0.107, 0.997, 0.096], [0.077, 0.002, 0.759], [0.562, 0.499, 0.581], [0.577, 0.498, 0.241], [0.607, 0.503, 0.904], [0.893, 0.497, 0.404], [0.938, 0.501, 0.081], [0.923, 0.502, 0.741], [0.423, 0.998, 0.259], [0.438, 0.999, 0.919], [0.393, 0.003, 0.596]],
  "m_tot_mub_per_cell": 12.00
}

---

[8]
{
  "formula": "Y2V2O7",
  "functional": "PBE with a Hubbard U",
  "state": "relaxed",
  "lattice_angstrom": [[0.000, 5.079, 5.079], [5.079, 0.000, 5.079], [5.079, 5.079, 0.000]],
  "species": ["Y", "Y", "Y", "Y", "V", "V", "V", "V", "O", "O", "O", "O", "O", "O", "O", "O", "O", "O", "O", "O", "O", "O"],
  "fractional_positions": [[0.625, 0.625, 0.625], [0.625, 0.125, 0.625], [0.125, 0.625, 0.625], [0.625, 0.625, 0.125], [0.125, 0.625, 0.125], [0.625, 0.125, 0.125], [0.125, 0.125, 0.625], [0.125, 0.125, 0.125], [0.240, 0.240, 0.760], [0.240, 0.760, 0.760], [0.760, 0.240, 0.760], [0.760, 0.760, 0.240], [0.000, 0.000, 0.000], [0.490, 0.010, 0.490], [0.010, 0.490, 0.490], [0.010, 0.490, 0.010], [0.250, 0.250, 0.250], [0.490, 0.010, 0.010], [0.760, 0.240, 0.240], [0.240, 0.760, 0.240], [0.010, 0.010, 0.490], [0.490, 0.490, 0.010]],
  "de_polymorph_kj_per_mol_atoms": 63.47,
  "m_tot_mub_per_cell": 4.00
}

---

[9]
{
  "formula": "YV2O2",
  "functional": "PBE with a Hubbard U",
  "state": "relaxed",
  "lattice_angstrom": [[-4.557, 4.557, 4.386], [4.557, -4.557, 4.386], [4.557, 4.557, -4.386]],
  "species": ["Y", "Y", "Y", "Y", "V", "V", "V", "V", "V", "V", "V", "V", "O", "O", "O", "O", "O", "O", "O", "O"],
  "fractional_positions": [[0.125, 0.875, 0.750], [0.125, 0.375, 0.250], [0.625, 0.875, 0.750], [0.125, 0.875, 0.250], [0.498, 0.829, 0.331], [0.498, 0.167, 0.669], [0.417, 0.248, 0.169], [0.752, 0.583, 0.831], [0.752, 0.921, 0.169], [0.079, 0.248, 0.831], [0.833, 0.502, 0.331], [0.171, 0.502, 0.669], [0.351, 0.504, 0.153], [0.351, 0.197, 0.847], [0.447, 0.101, 0.347], [0.899, 0.553, 0.653], [0.899, 0.246, 0.347], [0.754, 0.101, 0.653], [0.803, 0.649, 0.153], [0.496, 0.649, 0.847]],
  "m_tot_mub_per_cell": 24.16
}

---

[10]
{
  "formula": "V3Zn2O8",
  "functional": "PBE with a Hubbard U",
  "state": "relaxed",
  "lattice_angstrom": [[0.510, -3.735, 4.617], [-4.723, -0.361, -3.617], [6.515, -7.399, -2.858]],
  "species": ["V", "V", "V", "V", "V", "V", "Zn", "Zn", "Zn", "Zn", "O", "O", "O", "O", "O", "O", "O", "O", "O", "O", "O", "O", "O", "O", "O", "O"],
  "fractional_positions": [[0.563, 0.938, 0.812], [0.062, 0.437, 0.812], [0.562, 0.437, 0.812], [0.062, 0.438, 0.313], [0.563, 0.938, 0.312], [0.062, 0.937, 0.312], [0.503, 0.497, 0.490], [0.003, 0.997, 0.990], [0.622, 0.378, 0.135], [0.122, 0.878, 0.635], [0.191, 0.809, 0.428], [0.691, 0.309, 0.928], [0.934, 0.066, 0.197], [0.434, 0.566, 0.697], [0.419, 0.581, 0.211], [0.919, 0.081, 0.711], [0.706, 0.294, 0.414], [0.206, 0.794, 0.914], [0.706, 0.826, 0.414], [0.206, 0.326, 0.914], [0.174, 0.294, 0.414], [0.674, 0.794, 0.914], [0.951, 0.581, 0.211], [0.451, 0.081, 0.711], [0.419, 0.049, 0.211], [0.919, 0.549, 0.711]],
  "de_polymorph_kj_per_mol_atoms": 2.22,
  "m_tot_mub_per_cell": 0.00
}

---

[11]
{
  "formula": "V2Zn3O11",
  "functional": "PBE with a Hubbard U",
  "state": "relaxed",
  "lattice_angstrom": [[3.018, -5.227, 0.000], [3.018, 5.227, 0.000], [0.000, 0.000, 7.097]],
  "species": ["V", "V", "Zn", "Zn", "Zn", "O", "O", "O", "O", "O", "O", "O", "O", "O", "O", "O"],
  "fractional_positions": [[0.000, 0.000, 0.252], [0.000, 0.000, 0.748], [0.500, 0.000, 0.500], [0.000, 0.500, 0.500], [0.500, 0.500, 0.500], [0.333, 0.667, 0.655], [0.667, 0.333, 0.345], [0.157, 0.843, 0.337], [0.843, 0.157, 0.663], [0.157, 0.313, 0.337], [0.843, 0.687, 0.663], [0.687, 0.843, 0.337], [0.313, 0.157, 0.663], [0.333, 0.667, 0.846], [0.667, 0.333, 0.154], [0.000, 0.000, 0.000]],
  "m_tot_mub_per_cell": 2.00
}

---

[12]
{
  "formula": "VZnO3",
  "functional": "PBE with a Hubbard U",
  "state": "relaxed",
  "lattice_angstrom": [[5.151, 0.000, 0.000], [0.000, 5.154, 0.000], [0.000, 0.000, 7.644]],
  "species": ["V", "V", "V", "V", "Zn", "Zn", "Zn", "Zn", "O", "O", "O", "O", "O", "O", "O", "O", "O", "O", "O", "O"],
  "fractional_positions": [[0.000, 0.000, 0.500], [0.500, 0.500, 0.500], [0.500, 0.500, 0.000], [0.000, 0.000, 0.000], [0.966, 0.493, 0.750], [0.534, 0.993, 0.250], [0.466, 0.007, 0.750], [0.034, 0.507, 0.250], [0.427, 0.614, 0.250], [0.073, 0.114, 0.750], [0.927, 0.886, 0.250], [0.573, 0.386, 0.750], [0.691, 0.830, 0.938], [0.809, 0.330, 0.062], [0.191, 0.670, 0.562], [0.309, 0.170, 0.438], [0.691, 0.830, 0.562], [0.809, 0.330, 0.438], [0.309, 0.170, 0.062], [0.191, 0.670, 0.938]],
  "m_tot_mub_per_cell": 4.00
}

---

Computed values of DFT total energy (unit: eV/atom) for the preceding records, in sequence: -8.0302, -7.9296, -8.6023, -8.4467, -8.2105, -8.3763, -8.2395, -7.7889, -6.9862, -6.7419, -5.7114, -6.4098.
Computed values of V (unit: Å³/cell) for the preceding records, in sequence: 299.91, 159.53, 472.64, 260.53, 519.75, 165.15, 660.49, 262.05, 364.27, 297.51, 223.92, 202.90.
Computed values of energy of formation from the pure elements (unit: kJ per mole of atoms) for the preceding records, in sequence: -252.34, -242.64, -328.01, -310.39, -269.40, -303.59, -288.90, -246.92, -99.86, -214.39, -121.69, -204.98.